# 1
# Sb2O3 (PBE, optimized geometry)
data_Sb2O3
_chemical_formula_sum 'Sb8 O12'
_space_group_name_H-M_alt 'P 1'
_space_group_IT_number 1
_cell_length_a 4.846
_cell_length_b 8.307
_cell_length_c 10.813
_cell_angle_alpha 59.19
_cell_angle_beta 90.00
_cell_angle_gamma 90.00
loop_
_space_group_symop_operation_xyz
'x,y,z'
loop_
_atom_site_label
_atom_site_type_symbol
_atom_site_fract_x
_atom_site_fract_y
_atom_site_fract_z
O1 O 0.677 0.397 0.307
Sb1 Sb 0.144 0.895 0.697
O2 O 0.177 0.603 0.193
O3 O 0.399 0.655 0.395
O4 O 0.323 0.603 0.693
Sb2 Sb 0.828 0.590 0.101
O5 O 0.539 0.948 0.714
Sb3 Sb 0.172 0.410 0.899
O6 O 0.961 0.948 0.214
O7 O 0.823 0.397 0.807
Sb4 Sb 0.356 0.895 0.197
Sb5 Sb 0.328 0.410 0.399
O8 O 0.039 0.052 0.786
Sb6 Sb 0.644 0.105 0.803
O9 O 0.601 0.345 0.605
O10 O 0.461 0.052 0.286
O11 O 0.101 0.655 0.895
O12 O 0.899 0.345 0.105
Sb7 Sb 0.856 0.105 0.303
Sb8 Sb 0.672 0.590 0.601
# E_form ... -1.7452 eV/atom

=====

# 2
# BaAl2Se4 (PBE, optimized geometry)
data_BaAl2Se4
_chemical_formula_sum 'Ba2 Al4 Se8'
_space_group_name_H-M_alt 'P 1'
_space_group_IT_number 1
_cell_length_a 6.572
_cell_length_b 6.572
_cell_length_c 11.621
_cell_angle_alpha 90.00
_cell_angle_beta 90.00
_cell_angle_gamma 123.32
loop_
_space_group_symop_operation_xyz
'x,y,z'
loop_
_atom_site_label
_atom_site_type_symbol
_atom_site_fract_x
_atom_site_fract_y
_atom_site_fract_z
Se1 Se 0.000 0.500 0.341
Se2 Se 0.148 0.330 0.000
Se3 Se 0.500 0.000 0.841
Al1 Al 0.743 0.258 0.500
Ba1 Ba 0.000 0.000 0.250
Al2 Al 0.742 0.257 0.000
Al3 Al 0.258 0.743 0.000
Se4 Se 0.330 0.148 0.500
Se5 Se 0.000 0.500 0.659
Se6 Se 0.852 0.670 0.000
Ba2 Ba 0.000 0.000 0.750
Se7 Se 0.500 0.000 0.159
Al4 Al 0.257 0.742 0.500
Se8 Se 0.670 0.852 0.500
# E_form ... -1.5791 eV/atom

=====

# 3
# HfMn6Sn6 (PBE, optimized geometry)
data_HfMn6Sn6
_chemical_formula_sum 'Hf1 Mn6 Sn6'
_space_group_name_H-M_alt 'P 1'
_space_group_IT_number 1
_cell_length_a 5.399
_cell_length_b 5.399
_cell_length_c 8.973
_cell_angle_alpha 90.00
_cell_angle_beta 90.00
_cell_angle_gamma 120.00
loop_
_space_group_symop_operation_xyz
'x,y,z'
loop_
_atom_site_label
_atom_site_type_symbol
_atom_site_fract_x
_atom_site_fract_y
_atom_site_fract_z
Mn1 Mn 0.000 0.500 0.753
Mn2 Mn 0.500 0.500 0.753
Mn3 Mn 0.500 0.500 0.247
Mn4 Mn 0.000 0.500 0.247
Sn1 Sn 0.000 0.000 0.327
Sn2 Sn 0.667 0.333 0.500
Mn5 Mn 0.500 0.000 0.247
Mn6 Mn 0.500 0.000 0.753
Sn3 Sn 0.000 0.000 0.673
Sn4 Sn 0.333 0.667 0.000
Sn5 Sn 0.667 0.333 0.000
Hf1 Hf 0.000 0.000 0.000
Sn6 Sn 0.333 0.667 0.500
# E_form ... -0.0716 eV/atom

=====

# 4
# Ba2B6H4O13 (PBE, optimized geometry)
data_Ba2B6H4O13
_chemical_formula_sum 'Ba4 B12 H8 O26'
_space_group_name_H-M_alt 'P 1'
_space_group_IT_number 1
_cell_length_a 8.805
_cell_length_b 6.970
_cell_length_c 8.606
_cell_angle_alpha 78.86
_cell_angle_beta 90.00
_cell_angle_gamma 90.00
loop_
_space_group_symop_operation_xyz
'x,y,z'
loop_
_atom_site_label
_atom_site_type_symbol
_atom_site_fract_x
_atom_site_fract_y
_atom_site_fract_z
Ba1 Ba 0.927 0.759 0.765
H1 H 0.225 0.616 0.012
H2 H 0.760 0.177 0.386
O1 O 0.296 0.253 0.534
B1 B 0.604 0.639 0.963
O2 O 0.291 0.937 0.076
H3 H 0.529 0.686 0.735
H4 H 0.798 0.555 0.212
O3 O 0.273 0.043 0.792
O4 O 0.773 0.957 0.208
O5 O 0.107 0.258 0.207
B2 B 0.712 0.927 0.059
O6 O 0.619 0.425 0.980
O7 O 0.551 0.992 0.036
O8 O 0.051 0.008 0.964
B3 B 0.498 0.639 0.408
B4 B 0.202 0.102 0.634
O9 O 0.606 0.494 0.454
O10 O 0.229 0.279 0.959
O11 O 0.796 0.747 0.466
O12 O 0.845 0.413 0.594
H5 H 0.725 0.384 0.988
O13 O 0.106 0.506 0.546
O14 O 0.952 0.329 0.965
B5 B 0.702 0.898 0.366
B6 B 0.274 0.459 0.546
O15 O 0.347 0.514 0.688
O16 O 0.689 0.077 0.437
B7 B 0.998 0.361 0.592
O17 O 0.729 0.721 0.041
O18 O 0.189 0.923 0.563
O19 O 0.119 0.575 0.020
B8 B 0.212 0.073 0.941
O20 O 0.040 0.170 0.640
Ba2 Ba 0.068 0.804 0.283
H6 H 0.298 0.445 0.788
B9 B 0.432 0.862 0.050
O21 O 0.791 0.063 0.924
H7 H 0.029 0.314 0.265
Ba3 Ba 0.568 0.196 0.717
O22 O 0.345 0.587 0.406
H8 H 0.260 0.823 0.614
O23 O 0.847 0.486 0.312
O24 O 0.607 0.742 0.793
O25 O 0.452 0.671 0.035
O26 O 0.540 0.830 0.360
B10 B 0.774 0.541 0.454
B11 B 0.932 0.138 0.950
Ba4 Ba 0.427 0.241 0.235
B12 B 0.104 0.361 0.037
# E_form ... -2.6302 eV/atom

=====

# 5
# MgCd3 (PBE, optimized geometry)
data_MgCd3
_chemical_formula_sum 'Mg2 Cd6'
_space_group_name_H-M_alt 'P 1'
_space_group_IT_number 1
_cell_length_a 5.042
_cell_length_b 6.357
_cell_length_c 6.357
_cell_angle_alpha 60.00
_cell_angle_beta 90.00
_cell_angle_gamma 90.00
loop_
_space_group_symop_operation_xyz
'x,y,z'
loop_
_atom_site_label
_atom_site_type_symbol
_atom_site_fract_x
_atom_site_fract_y
_atom_site_fract_z
Cd1 Cd 0.250 0.334 0.833
Cd2 Cd 0.750 0.167 0.666
Cd3 Cd 0.750 0.167 0.167
Cd4 Cd 0.750 0.666 0.167
Mg1 Mg 0.750 0.667 0.667
Mg2 Mg 0.250 0.333 0.333
Cd5 Cd 0.250 0.833 0.334
Cd6 Cd 0.250 0.833 0.833
# E_form ... -0.0698 eV/atom
# Energy above the most stable polymorph in this dataset ... 0 meV/atom

=====

# 6
# CeIr3 (PBE, optimized geometry)
data_CeIr3
_chemical_formula_sum 'Ce3 Ir9'
_space_group_name_H-M_alt 'P 1'
_space_group_IT_number 1
_cell_length_a 9.370
_cell_length_b 9.370
_cell_length_c 9.370
_cell_angle_alpha 33.03
_cell_angle_beta 33.03
_cell_angle_gamma 33.03
loop_
_space_group_symop_operation_xyz
'x,y,z'
loop_
_atom_site_label
_atom_site_type_symbol
_atom_site_fract_x
_atom_site_fract_y
_atom_site_fract_z
Ir1 Ir 0.081 0.583 0.583
Ce1 Ce 0.861 0.861 0.861
Ir2 Ir 0.500 0.500 0.500
Ir3 Ir 0.667 0.667 0.667
Ir4 Ir 0.417 0.919 0.417
Ir5 Ir 0.417 0.417 0.919
Ir6 Ir 0.919 0.417 0.417
Ce2 Ce 0.000 0.000 0.000
Ir7 Ir 0.583 0.081 0.583
Ce3 Ce 0.139 0.139 0.139
Ir8 Ir 0.583 0.583 0.081
Ir9 Ir 0.333 0.333 0.333
# E_form ... -0.6270 eV/atom

=====

# 7
# Ca4Al6SO16 (PBE, optimized geometry)
data_Ca4Al6SO16
_chemical_formula_sum 'Ca4 Al6 S1 O16'
_space_group_name_H-M_alt 'P 1'
_space_group_IT_number 1
_cell_length_a 8.078
_cell_length_b 8.078
_cell_length_c 8.078
_cell_angle_alpha 109.52
_cell_angle_beta 109.52
_cell_angle_gamma 109.38
loop_
_space_group_symop_operation_xyz
'x,y,z'
loop_
_atom_site_label
_atom_site_type_symbol
_atom_site_fract_x
_atom_site_fract_y
_atom_site_fract_z
O1 O 0.002 0.298 0.602
O2 O 0.697 0.400 0.398
Al1 Al 0.750 0.250 0.500
O3 O 0.702 0.303 0.703
O4 O 0.001 0.598 0.289
Ca1 Ca 0.426 0.004 0.010
O5 O 0.400 0.401 0.692
Al2 Al 0.500 0.749 0.252
O6 O 0.960 0.093 0.871
Al3 Al 0.752 0.500 0.249
O7 O 0.222 0.089 0.129
Al4 Al 0.251 0.503 0.751
O8 O 0.402 0.690 0.403
O9 O 0.599 0.291 0.999
Al5 Al 0.497 0.248 0.748
Ca2 Ca 0.996 0.006 0.422
O10 O 0.709 0.708 0.308
O11 O 0.911 0.040 0.133
Ca3 Ca 0.994 0.415 0.990
Ca4 Ca 0.585 0.574 0.578
S1 S 0.000 0.000 0.000
O12 O 0.292 0.600 0.001
Al6 Al 0.250 0.750 0.500
O13 O 0.907 0.778 0.867
O14 O 0.287 0.999 0.597
O15 O 0.310 0.713 0.711
O16 O 0.600 0.998 0.297
# E_form ... -3.2881 eV/atom
# Total magnetic moment ... 0.001 μB per formula unit
# Energy above the most stable polymorph in this dataset ... 8 meV/atom

=====

# 8
# Na3Hf3AlP6O24 (PBE, optimized geometry)
data_Na3Hf3AlP6O24
_chemical_formula_sum 'Na9 Hf9 Al3 P18 O72'
_space_group_name_H-M_alt 'P 1'
_space_group_IT_number 1
_cell_length_a 8.790
_cell_length_b 8.780
_cell_length_c 22.744
_cell_angle_alpha 90.02
_cell_angle_beta 89.99
_cell_angle_gamma 120.16
loop_
_space_group_symop_operation_xyz
'x,y,z'
loop_
_atom_site_label
_atom_site_type_symbol
_atom_site_fract_x
_atom_site_fract_y
_atom_site_fract_z
O1 O 0.973 0.802 0.091
O2 O 0.305 0.844 0.972
P1 P 0.291 0.007 0.251
P2 P 0.384 0.049 0.587
O3 O 0.197 0.171 0.091
O4 O 0.158 0.684 0.755
O5 O 0.830 0.799 0.306
O6 O 0.156 0.462 0.972
O7 O 0.689 0.519 0.243
Na1 Na 0.639 0.635 0.748
Al1 Al 0.667 0.328 0.684
Hf1 Hf 0.001 0.002 0.852
Hf2 Hf 0.002 0.002 0.645
P3 P 0.950 0.616 0.087
O8 O 0.694 0.157 0.030
O9 O 0.844 0.538 0.030
Al2 Al 0.999 0.993 0.349
O10 O 0.536 0.693 0.970
O11 O 0.830 0.028 0.091
O12 O 0.514 0.874 0.362
O13 O 0.495 0.358 0.143
O14 O 0.862 0.506 0.423
O15 O 0.847 0.307 0.527
O16 O 0.793 0.969 0.695
Na2 Na 0.667 0.325 0.832
O17 O 0.311 0.843 0.257
O18 O 0.158 0.186 0.406
Al3 Al 0.673 0.333 0.185
P4 P 0.327 0.367 0.414
O19 O 0.213 0.179 0.803
O20 O 0.023 0.840 0.406
P5 P 0.043 0.678 0.415
P6 P 0.718 0.707 0.251
Na3 Na 0.333 0.675 0.165
Hf3 Hf 0.328 0.667 0.814
O21 O 0.545 0.845 0.471
O22 O 0.177 0.974 0.196
O23 O 0.828 0.306 0.242
O24 O 0.026 0.821 0.694
P7 P 0.301 0.291 0.748
O25 O 0.156 0.702 0.471
O26 O 0.202 0.037 0.305
O27 O 0.168 0.976 0.910
O28 O 0.031 0.204 0.198
O29 O 0.859 0.356 0.922
P8 P 0.993 0.700 0.748
P9 P 0.709 0.011 0.748
O30 O 0.500 0.636 0.579
Hf4 Hf 0.661 0.334 0.481
Hf5 Hf 0.667 0.334 0.981
O31 O 0.160 0.468 0.258
O32 O 0.198 0.027 0.591
P10 P 0.624 0.667 0.916
O33 O 0.821 0.035 0.804
O34 O 0.360 0.873 0.862
O35 O 0.475 0.174 0.243
O36 O 0.363 0.864 0.579
O37 O 0.136 0.499 0.579
Na4 Na 0.366 0.363 0.247
O38 O 0.859 0.359 0.639
P11 P 0.667 0.051 0.087
O39 O 0.486 0.316 0.740
Na5 Na 0.667 0.334 0.329
O40 O 0.127 0.487 0.862
O41 O 0.498 0.139 0.640
P12 P 0.384 0.334 0.087
Hf6 Hf 0.334 0.669 0.521
P13 P 0.333 0.958 0.917
O42 O 0.516 0.640 0.859
O43 O 0.464 0.307 0.031
O44 O 0.135 0.637 0.080
O45 O 0.689 0.172 0.739
O46 O 0.693 0.536 0.531
O47 O 0.527 0.681 0.258
O48 O 0.498 0.141 0.922
O49 O 0.180 0.207 0.695
O50 O 0.968 0.174 0.308
Na6 Na 0.001 0.992 0.498
Hf7 Hf 0.334 0.667 0.023
P14 P 0.950 0.335 0.585
O51 O 0.825 0.519 0.740
O52 O 0.492 0.351 0.422
O53 O 0.829 0.803 0.591
O54 O 0.462 0.156 0.530
P15 P 0.988 0.283 0.252
O55 O 0.641 0.506 0.642
O56 O 0.126 0.635 0.363
O57 O 0.528 0.838 0.756
O58 O 0.642 0.502 0.922
Hf8 Hf 0.998 0.998 0.146
O59 O 0.819 0.982 0.407
O60 O 0.641 0.140 0.141
Na7 Na 0.972 0.301 0.414
O61 O 0.961 0.785 0.803
P16 P 0.042 0.375 0.918
Na8 Na 0.326 0.667 0.665
O62 O 0.860 0.501 0.140
Hf9 Hf 0.335 0.673 0.312
P17 P 0.634 0.957 0.415
O63 O 0.359 0.484 0.359
O64 O 0.323 0.478 0.756
Na9 Na 0.000 0.000 0.001
O65 O 0.295 0.455 0.469
O66 O 0.502 0.865 0.080
O67 O 0.972 0.171 0.591
O68 O 0.024 0.192 0.910
O69 O 0.657 0.144 0.423
P18 P 0.665 0.617 0.587
O70 O 0.364 0.498 0.080
O71 O 0.808 0.832 0.910
O72 O 0.794 0.821 0.196
# E_form ... -3.1379 eV/atom
# Total magnetic moment ... 0.001 μB per formula unit

=====

# 9
# Pr2Ru2O7 (PBE, optimized geometry)
data_Pr2Ru2O7
_chemical_formula_sum 'Pr4 Ru4 O14'
_space_group_name_H-M_alt 'P 1'
_space_group_IT_number 1
_cell_length_a 7.440
_cell_length_b 7.440
_cell_length_c 7.440
_cell_angle_alpha 60.00
_cell_angle_beta 60.00
_cell_angle_gamma 60.00
loop_
_space_group_symop_operation_xyz
'x,y,z'
loop_
_atom_site_label
_atom_site_type_symbol
_atom_site_fract_x
_atom_site_fract_y
_atom_site_fract_z
O1 O 0.046 0.454 0.046
O2 O 0.454 0.046 0.046
O3 O 0.046 0.454 0.454
O4 O 0.454 0.454 0.046
Pr1 Pr 0.125 0.625 0.625
O5 O 0.204 0.204 0.796
O6 O 0.204 0.796 0.796
O7 O 0.796 0.204 0.796
O8 O 0.204 0.796 0.204
O9 O 0.750 0.750 0.750
O10 O 0.796 0.204 0.204
Ru1 Ru 0.625 0.125 0.125
O11 O 0.046 0.046 0.454
Ru2 Ru 0.125 0.625 0.125
O12 O 0.796 0.796 0.204
Pr2 Pr 0.625 0.625 0.125
O13 O 0.454 0.046 0.454
Pr3 Pr 0.625 0.625 0.625
Ru3 Ru 0.125 0.125 0.125
Ru4 Ru 0.125 0.125 0.625
Pr4 Pr 0.625 0.125 0.625
O14 O 0.500 0.500 0.500
# E_form ... -2.4831 eV/atom
# Total magnetic moment ... 1.051 μB per formula unit

=====

# 10
# TmZn3 (PBE, optimized geometry)
data_TmZn3
_chemical_formula_sum 'Tm4 Zn12'
_space_group_name_H-M_alt 'P 1'
_space_group_IT_number 1
_cell_length_a 4.372
_cell_length_b 6.625
_cell_length_c 10.015
_cell_angle_alpha 90.00
_cell_angle_beta 90.00
_cell_angle_gamma 90.00
loop_
_space_group_symop_operation_xyz
'x,y,z'
loop_
_atom_site_label
_atom_site_type_symbol
_atom_site_fract_x
_atom_site_fract_y
_atom_site_fract_z
Zn1 Zn 0.750 0.283 0.457
Zn2 Zn 0.750 0.081 0.851
Tm1 Tm 0.750 0.220 0.164
Tm2 Tm 0.250 0.280 0.664
Zn3 Zn 0.750 0.464 0.897
Zn4 Zn 0.750 0.581 0.649
Tm3 Tm 0.750 0.720 0.336
Tm4 Tm 0.250 0.780 0.836
Zn5 Zn 0.250 0.217 0.957
Zn6 Zn 0.250 0.036 0.397
Zn7 Zn 0.250 0.717 0.543
Zn8 Zn 0.250 0.536 0.103
Zn9 Zn 0.750 0.964 0.603
Zn10 Zn 0.250 0.419 0.351
Zn11 Zn 0.750 0.783 0.043
Zn12 Zn 0.250 0.919 0.149
# E_form ... -0.3569 eV/atom

=====

# 11
# Li2AlSi (PBE, optimized geometry)
data_Li2AlSi
_chemical_formula_sum 'Li4 Al2 Si2'
_space_group_name_H-M_alt 'P 1'
_space_group_IT_number 1
_cell_length_a 4.314
_cell_length_b 4.314
_cell_length_c 8.160
_cell_angle_alpha 90.00
_cell_angle_beta 90.00
_cell_angle_gamma 120.00
loop_
_space_group_symop_operation_xyz
'x,y,z'
loop_
_atom_site_label
_atom_site_type_symbol
_atom_site_fract_x
_atom_site_fract_y
_atom_site_fract_z
Si1 Si 0.667 0.333 0.250
Al1 Al 0.000 0.000 0.750
Al2 Al 0.000 0.000 0.250
Li1 Li 0.333 0.667 0.074
Si2 Si 0.333 0.667 0.750
Li2 Li 0.333 0.667 0.426
Li3 Li 0.667 0.333 0.574
Li4 Li 0.667 0.333 0.926
# E_form ... -0.1253 eV/atom
# Total magnetic moment ... 0.003 μB per formula unit

=====

# 12
# LaF (PBE, optimized geometry)
data_LaF
_chemical_formula_sum 'La2 F2'
_space_group_name_H-M_alt 'P 1'
_space_group_IT_number 1
_cell_length_a 4.329
_cell_length_b 4.329
_cell_length_c 5.558
_cell_angle_alpha 90.00
_cell_angle_beta 90.00
_cell_angle_gamma 120.00
loop_
_space_group_symop_operation_xyz
'x,y,z'
loop_
_atom_site_label
_atom_site_type_symbol
_atom_site_fract_x
_atom_site_fract_y
_atom_site_fract_z
La1 La 0.333 0.667 0.250
F1 F 0.667 0.333 0.250
La2 La 0.667 0.333 0.750
F2 F 0.333 0.667 0.750
# E_form ... -2.6490 eV/atom
# Total magnetic moment ... 0.000 μB per formula unit

=====

# 13
# UFe3B2 (PBE, optimized geometry)
data_UFe3B2
_chemical_formula_sum 'U1 Fe3 B2'
_space_group_name_H-M_alt 'P 1'
_space_group_IT_number 1
_cell_length_a 5.119
_cell_length_b 5.119
_cell_length_c 2.833
_cell_angle_alpha 90.00
_cell_angle_beta 90.00
_cell_angle_gamma 120.00
loop_
_space_group_symop_operation_xyz
'x,y,z'
loop_
_atom_site_label
_atom_site_type_symbol
_atom_site_fract_x
_atom_site_fract_y
_atom_site_fract_z
Fe1 Fe 0.000 0.500 0.500
Fe2 Fe 0.500 0.000 0.500
B1 B 0.333 0.667 0.000
B2 B 0.667 0.333 0.000
U1 U 0.000 0.000 0.000
Fe3 Fe 0.500 0.500 0.500
# E_form ... -0.4223 eV/atom

=====

# 14
# ZrRu (PBE, optimized geometry)
data_ZrRu
_chemical_formula_sum 'Zr1 Ru1'
_space_group_name_H-M_alt 'P 1'
_space_group_IT_number 1
_cell_length_a 3.282
_cell_length_b 3.282
_cell_length_c 3.282
_cell_angle_alpha 90.00
_cell_angle_beta 90.00
_cell_angle_gamma 90.00
loop_
_space_group_symop_operation_xyz
'x,y,z'
loop_
_atom_site_label
_atom_site_type_symbol
_atom_site_fract_x
_atom_site_fract_y
_atom_site_fract_z
Ru1 Ru 0.000 0.000 0.000
Zr1 Zr 0.500 0.500 0.500
# E_form ... -0.6576 eV/atom

=====

We obtain calculated volume values of 18.69, 29.96, 17.42, 10.36, 22.06, 18.13, 15.03, 13.67, 13.24, 18.13, 16.44, 22.55, 10.71, 17.68 Å³ per atom for the records listed above, in that order.
We obtain total energy values of -5.9534, -4.6513, -6.9167, -7.1454, -1.1620, -8.7391, -7.0958, -7.7954, -7.7501, -2.4207, -3.3902, -5.8433, -8.7657, -9.5686 eV/atom for the records listed above, in that order.